This record from the Materials Project database describes a relaxed LiV2C2O8 crystal. The functional is PBE+U.

Magnetization, μB per formula unit: 3.00
Calculated formation energy, eV/atom: -2.1209
Density, Mg/m³: 3.090
Calculated total energy, eV per atom: -7.446

Unit cell a=9.4693 b=6.2878 c=11.2425 alpha=56.88 beta=90.00 gamma=90.00
Atoms (fractional coordinates):
Li  0.3124  0.4629  0.9024
Li  0.6876  0.5371  0.0976
Li  0.1876  0.4629  0.4024
Li  0.8124  0.5371  0.5976
V  0.5555  0.0058  0.3655
V  0.9308  0.4841  0.8874
V  0.0692  0.5159  0.1126
V  0.4445  0.9942  0.6345
V  0.5692  0.4841  0.3874
V  0.9445  0.0058  0.8655
V  0.0555  0.9942  0.1345
V  0.4308  0.5159  0.6126
C  0.8626  0.0467  0.3317
C  0.6350  0.5312  0.8386
C  0.3650  0.4688  0.1614
C  0.1374  0.9533  0.6683
C  0.8650  0.5312  0.3386
C  0.6374  0.0467  0.8317
C  0.3626  0.9533  0.1683
C  0.1350  0.4688  0.6614
O  0.7410  0.1383  0.2673
O  0.9761  0.1446  0.2405
O  0.7554  0.5899  0.7675
O  0.1113  0.3768  0.0084
O  0.5158  0.6039  0.7575
O  0.3957  0.8569  0.5115
O  0.8795  0.8901  0.4588
O  0.6281  0.4230  0.9683
O  0.3719  0.5770  0.0317
O  0.1205  0.1099  0.5412
O  0.6043  0.1431  0.4885
O  0.4842  0.3961  0.2425
O  0.8887  0.6232  0.9916
O  0.2446  0.4101  0.2325
O  0.0239  0.8554  0.7595
O  0.2590  0.8617  0.7327
O  0.7446  0.5899  0.2675
O  0.9842  0.6039  0.2575
O  0.7590  0.1383  0.7673
O  0.1043  0.8569  0.0115
O  0.5239  0.1446  0.7405
O  0.3887  0.3768  0.5084
O  0.8719  0.4230  0.4683
O  0.6205  0.8901  0.9588
O  0.3795  0.1099  0.0412
O  0.1281  0.5770  0.5317
O  0.6113  0.6232  0.4916
O  0.4761  0.8554  0.2595
O  0.8957  0.1431  0.9885
O  0.2410  0.8617  0.2327
O  0.0158  0.3961  0.7425
O  0.2554  0.4101  0.7325